DFT (PBE) results for a relaxed structure of Cs2TeH6SeO10.

Values from the calculation:
- corrected total energy (MP2020 scheme) (eV/atom) = -5.415

Lattice parameters (Å, degrees): 13.0086 7.5991 12.5999 90.00 111.10 90.00
Element x y z (fractional)
Cs 0.1322 0.0324 0.3848
Cs 0.1322 0.4676 0.8848
Cs 0.3639 0.5075 0.6420
Cs 0.3639 0.9925 0.1420
Cs 0.6361 0.0075 0.8580
Cs 0.6361 0.4925 0.3580
Cs 0.8678 0.5324 0.1152
Cs 0.8678 0.9676 0.6152
Te 0.0000 0.0000 0.0000
Te 0.0000 0.5000 0.5000
Te 0.5000 0.0000 0.5000
Te 0.5000 0.5000 0.0000
H 0.0950 0.2504 0.1255
H 0.0950 0.2496 0.6255
H 0.1146 0.5237 0.3752
H 0.1153 0.7054 0.6588
H 0.1153 0.7946 0.1588
H 0.1146 0.9763 0.8752
H 0.3709 0.0338 0.6041
H 0.3709 0.4662 0.1041
H 0.3722 0.7457 0.8986
H 0.3722 0.7543 0.3986
H 0.4196 0.2178 0.8982
H 0.4196 0.2822 0.3982
H 0.5804 0.7178 0.6018
H 0.5804 0.7822 0.1018
H 0.6278 0.2457 0.6014
H 0.6278 0.2543 0.1014
H 0.6291 0.5338 0.8959
H 0.6291 0.9662 0.3959
H 0.8854 0.0237 0.1248
H 0.8847 0.2054 0.8412
H 0.8847 0.2946 0.3412
H 0.8854 0.4763 0.6248
H 0.9050 0.7504 0.3745
H 0.9050 0.7496 0.8745
Se 0.2490 0.0004 0.7478
Se 0.2490 0.4996 0.2478
Se 0.7510 0.9996 0.2522
Se 0.7510 0.5004 0.7522
O 0.0191 0.2364 0.0641
O 0.0191 0.2636 0.5641
O 0.1143 0.0582 0.9371
O 0.1143 0.4418 0.4371
O 0.1189 0.5795 0.6368
O 0.1189 0.9205 0.1368
O 0.1388 0.6135 0.2516
O 0.1388 0.8865 0.7516
O 0.2151 0.2136 0.7233
O 0.2151 0.2864 0.2233
O 0.2855 0.5835 0.1433
O 0.2855 0.9165 0.6433
O 0.3535 0.5169 0.3736
O 0.3535 0.9831 0.8736
O 0.3646 0.6146 0.8988
O 0.3646 0.8854 0.3988
O 0.4159 0.1208 0.5776
O 0.4159 0.3792 0.0776
O 0.4737 0.1947 0.3916
O 0.4737 0.3053 0.8916
O 0.5263 0.6947 0.1084
O 0.5263 0.8053 0.6084
O 0.5841 0.6208 0.9224
O 0.5841 0.8792 0.4224
O 0.6354 0.1146 0.6012
O 0.6354 0.3854 0.1012
O 0.6465 0.0169 0.1264
O 0.6465 0.4831 0.6264
O 0.7145 0.0835 0.3567
O 0.7145 0.4165 0.8567
O 0.7849 0.7136 0.7767
O 0.7849 0.7864 0.2767
O 0.8612 0.1135 0.2484
O 0.8612 0.3865 0.7484
O 0.8811 0.0795 0.8632
O 0.8811 0.4205 0.3632
O 0.8857 0.5582 0.5629
O 0.8857 0.9418 0.0629
O 0.9809 0.7364 0.4359
O 0.9809 0.7636 0.9359


DFT (PBE) results for a relaxed structure of Ta3SeI7.

Values from the calculation:
- corrected total energy (MP2020 scheme) (eV/atom) = -5.273

Lattice parameters (Å, degrees): 7.6437 7.6437 14.8359 90.00 90.00 120.00
Element x y z (fractional)
Ta 0.1298 0.2595 0.0000
Ta 0.1298 0.8702 0.0000
Ta 0.2595 0.1298 0.5000
Ta 0.7405 0.8702 0.0000
Ta 0.8702 0.1298 0.5000
Ta 0.8702 0.7405 0.5000
Se 0.0000 0.0000 0.1274
Se 0.0000 0.0000 0.6274
I 0.0041 0.5021 0.6042
I 0.1678 0.3356 0.3736
I 0.1678 0.8322 0.3736
I 0.3333 0.6667 0.9038
I 0.3356 0.1678 0.8736
I 0.4979 0.5021 0.6042
I 0.4979 0.9959 0.6042
I 0.5021 0.0041 0.1042
I 0.5021 0.4979 0.1042
I 0.6644 0.8322 0.3736
I 0.6667 0.3333 0.4038
I 0.8322 0.1678 0.8736
I 0.8322 0.6644 0.8736
I 0.9959 0.4979 0.1042


DFT (PBE) results for a relaxed structure of K3LiNb6O15.

Values from the calculation:
- corrected total energy (MP2020 scheme) (eV/atom) = -8.368

Lattice parameters (Å, degrees): 4.0886 12.9719 12.9653 90.00 90.34 90.00
Element x y z (fractional)
K 0.0000 0.0690 0.0000
K 0.0000 0.9310 0.5000
K 0.0046 0.4153 0.3472
K 0.0046 0.5847 0.8472
K 0.0166 0.2442 0.6689
K 0.0166 0.7558 0.1689
Li 0.9891 0.1135 0.3078
Li 0.9891 0.8865 0.8078
Nb 0.4981 0.2447 0.1766
Nb 0.4981 0.7553 0.6766
Nb 0.5061 0.4511 0.5983
Nb 0.5061 0.5489 0.0983
Nb 0.5092 0.0433 0.7480
Nb 0.5094 0.1730 0.4666
Nb 0.5094 0.8270 0.9666
Nb 0.5092 0.9567 0.2480
Nb 0.5105 0.3222 0.8755
Nb 0.5105 0.6778 0.3755
Nb 0.8534 0.3735 0.0453
Nb 0.8534 0.6265 0.5453
O 0.0104 0.1683 0.4571
O 0.0104 0.8317 0.9571
O 0.0110 0.0356 0.7506
O 0.0110 0.9644 0.2506
O 0.0141 0.2562 0.1653
O 0.0141 0.7438 0.6653
O 0.0220 0.4685 0.5859
O 0.0220 0.5315 0.0859
O 0.0269 0.3318 0.8892
O 0.0269 0.6682 0.3892
O 0.5072 0.1062 0.6024
O 0.5072 0.8938 0.1024
O 0.5102 0.0403 0.3794
O 0.5102 0.9597 0.8794
O 0.5112 0.3143 0.5290
O 0.5112 0.6857 0.0290
O 0.5157 0.1813 0.8106
O 0.5157 0.8187 0.3106
O 0.5170 0.0954 0.1738
O 0.5171 0.2466 0.3252
O 0.5169 0.4051 0.1701
O 0.5169 0.5949 0.6701
O 0.5171 0.7534 0.8252
O 0.5170 0.9046 0.6738
O 0.5201 0.2467 0.0152
O 0.5201 0.7533 0.5152
O 0.5254 0.4655 0.9550
O 0.5254 0.5345 0.4550
O 0.5258 0.3887 0.7353
O 0.5258 0.6113 0.2353


DFT (PBE) results for a relaxed structure of CeB2Ir2Rh.

Lattice parameters (Å, degrees): 5.5224 5.5224 3.1336 90.00 90.00 119.98
Element x y z (fractional)
Ce 0.0000 0.0000 0.0000
B 0.3330 0.6670 0.0000
B 0.6670 0.3330 0.0000
Ir 0.0000 0.5000 0.5000
Ir 0.5000 0.0000 0.5000
Rh 0.5000 0.5000 0.5000


DFT (PBE) results for a relaxed structure of Sr2CuGe2O7.

Values from the calculation:
- corrected total energy (MP2020 scheme) (eV/atom) = -6.672
- largest piezoelectric modulus (C/m2) = 0.6

Lattice parameters (Å, degrees): 8.3851 8.3851 5.2806 90.00 90.00 90.00
Element x y z (fractional)
Sr 0.1653 0.3347 0.0109
Sr 0.3347 0.8347 0.9891
Sr 0.6653 0.1653 0.9891
Sr 0.8347 0.6653 0.0109
Cu 0.0000 0.0000 0.5000
Cu 0.5000 0.5000 0.5000
Ge 0.1407 0.6407 0.5325
Ge 0.3593 0.1407 0.4675
Ge 0.6407 0.8593 0.4675
Ge 0.8593 0.3593 0.5325
O 0.0000 0.5000 0.6744
O 0.0864 0.8194 0.6876
O 0.1345 0.6345 0.2031
O 0.1806 0.0864 0.3124
O 0.3194 0.5864 0.6876
O 0.3655 0.1345 0.7969
O 0.4136 0.3194 0.3124
O 0.5000 0.0000 0.3256
O 0.5864 0.6806 0.3124
O 0.6345 0.8655 0.7969
O 0.6806 0.4136 0.6876
O 0.8194 0.9136 0.3124
O 0.8655 0.3655 0.2031
O 0.9136 0.1806 0.6876


DFT (PBE) results for a relaxed structure of Er8Ga3Co.

Lattice parameters (Å, degrees): 9.9384 9.9384 6.8442 90.00 90.00 120.00
Element x y z (fractional)
Er 0.0000 0.0000 0.0000
Er 0.0000 0.0000 0.5000
Er 0.0708 0.5354 0.0225
Er 0.1731 0.3461 0.7218
Er 0.1731 0.8269 0.7218
Er 0.3333 0.6667 0.4017
Er 0.3461 0.1731 0.2218
Er 0.4646 0.5354 0.0225
Er 0.4646 0.9292 0.0225
Er 0.5354 0.0708 0.5225
Er 0.5354 0.4646 0.5225
Er 0.6539 0.8269 0.7218
Er 0.6667 0.3333 0.9017
Er 0.8269 0.1731 0.2218
Er 0.8269 0.6539 0.2218
Er 0.9292 0.4646 0.5225
Ga 0.1636 0.3272 0.2693
Ga 0.1636 0.8364 0.2693
Ga 0.3272 0.1636 0.7693
Ga 0.6728 0.8364 0.2693
Ga 0.8364 0.1636 0.7693
Ga 0.8364 0.6728 0.7693
Co 0.3333 0.6667 0.7892
Co 0.6667 0.3333 0.2892


DFT (PBE) results for a relaxed structure of La3GdBr4O4.

Values from the calculation:
- corrected total energy (MP2020 scheme) (eV/atom) = -7.797

Lattice parameters (Å, degrees): 4.1079 4.1079 15.3429 90.00 90.00 90.00
Element x y z (fractional)
La 0.0000 0.0000 0.0000
La 0.0000 0.0000 0.4970
La 0.5000 0.5000 0.6564
Gd 0.5000 0.5000 0.1513
Br 0.0000 0.0000 0.2541
Br 0.0000 0.0000 0.7584
Br 0.5000 0.5000 0.3962
Br 0.5000 0.5000 0.8988
O 0.0000 0.5000 0.0798
O 0.0000 0.5000 0.5772
O 0.5000 0.0000 0.0798
O 0.5000 0.0000 0.5772


DFT (PBE) results for a relaxed structure of CrSiNi.

Lattice parameters (Å, degrees): 5.7624 3.6189 6.9032 90.00 90.00 90.00
Element x y z (fractional)
Cr 0.0291 0.2500 0.1810
Cr 0.4709 0.7500 0.6810
Cr 0.5291 0.2500 0.3190
Cr 0.9709 0.7500 0.8190
Si 0.2442 0.7500 0.3746
Si 0.2558 0.2500 0.8746
Si 0.7442 0.7500 0.1254
Si 0.7558 0.2500 0.6254
Ni 0.1470 0.2500 0.5587
Ni 0.3530 0.7500 0.0587
Ni 0.6470 0.2500 0.9413
Ni 0.8530 0.7500 0.4413


| no. | DFT formation energy (kcal/mol of atoms) |
| --- | --- |
| 1 | -34.63 |
| 2 | -17.32 |
| 3 | -63.76 |
| 4 | -15.73 |
| 5 | -55.16 |
| 6 | -9.63 |
| 7 | -73.69 |
| 8 | -8.51 |